K2PHO4 | PBE | optimized geometry

As for the formation enthalpy at 0 K: -2.40 eV per atom.

Cell and atoms, written as POSCAR:
```
K2PHO4
1.0
22.815 0.000 0.000
0.000 10.484 0.000
0.000 0.000 6.045
K P H O
24 12 12 48
Direct
0.013 0.248 0.000 K
0.050 0.596 0.012 K
0.099 0.134 0.502 K
0.164 0.776 0.534 K
0.172 0.363 0.000 K
0.217 0.007 0.055 K
0.283 0.507 0.555 K
0.328 0.863 0.500 K
0.336 0.276 0.034 K
0.401 0.634 0.002 K
0.450 0.096 0.512 K
0.487 0.748 0.500 K
0.513 0.252 0.000 K
0.550 0.904 0.012 K
0.599 0.366 0.502 K
0.664 0.724 0.534 K
0.672 0.137 0.000 K
0.717 0.493 0.055 K
0.783 0.993 0.555 K
0.828 0.637 0.500 K
0.836 0.224 0.034 K
0.901 0.866 0.002 K
0.950 0.404 0.512 K
0.987 0.752 0.500 K
0.075 0.932 0.022 P
0.094 0.456 0.507 P
0.245 0.150 0.547 P
0.255 0.650 0.047 P
0.406 0.956 0.007 P
0.425 0.432 0.522 P
0.575 0.568 0.022 P
0.594 0.044 0.507 P
0.745 0.350 0.547 P
0.755 0.850 0.047 P
0.906 0.544 0.007 P
0.925 0.068 0.522 P
0.021 0.979 0.727 H
0.163 0.706 0.998 H
0.183 0.366 0.455 H
0.317 0.866 0.955 H
0.337 0.206 0.498 H
0.479 0.479 0.227 H
0.521 0.521 0.727 H
0.663 0.794 0.998 H
0.683 0.134 0.455 H
0.817 0.634 0.955 H
0.837 0.294 0.498 H
0.979 0.021 0.227 H
0.021 0.910 0.169 O
0.053 0.913 0.766 O
0.072 0.387 0.297 O
0.075 0.384 0.718 O
0.078 0.598 0.516 O
0.100 0.067 0.047 O
0.122 0.827 0.055 O
0.166 0.453 0.498 O
0.187 0.628 0.966 O
0.217 0.016 0.543 O
0.217 0.240 0.371 O
0.246 0.213 0.776 O
0.254 0.713 0.276 O
0.283 0.516 0.043 O
0.283 0.740 0.871 O
0.313 0.128 0.466 O
0.334 0.953 0.998 O
0.378 0.327 0.555 O
0.400 0.567 0.547 O
0.422 0.098 0.016 O
0.425 0.884 0.218 O
0.428 0.887 0.797 O
0.447 0.413 0.266 O
0.479 0.410 0.669 O
0.521 0.590 0.169 O
0.553 0.587 0.766 O
0.572 0.113 0.297 O
0.575 0.116 0.718 O
0.578 0.902 0.516 O
0.600 0.433 0.047 O
0.622 0.673 0.055 O
0.666 0.047 0.498 O
0.687 0.872 0.966 O
0.717 0.260 0.371 O
0.717 0.484 0.543 O
0.746 0.287 0.776 O
0.754 0.787 0.276 O
0.783 0.760 0.871 O
0.783 0.984 0.043 O
0.813 0.372 0.466 O
0.834 0.547 0.998 O
0.878 0.173 0.555 O
0.900 0.933 0.547 O
0.922 0.402 0.016 O
0.925 0.616 0.218 O
0.928 0.613 0.797 O
0.947 0.087 0.266 O
0.979 0.090 0.669 O
```

---

KPHO3 | PBE | optimized geometry

As for the formation enthalpy at 0 K: -2.21 eV per atom.

Cell and atoms, written as POSCAR:
```
KPHO3
1.0
8.353 0.000 0.000
0.271 8.460 0.000
1.582 0.833 10.867
K P H O
8 8 8 24
Direct
0.111 0.287 0.080 K
0.218 0.811 0.553 K
0.289 0.768 0.050 K
0.310 0.412 0.426 K
0.690 0.588 0.574 K
0.711 0.232 0.950 K
0.782 0.189 0.447 K
0.889 0.713 0.920 K
0.003 0.630 0.297 P
0.143 0.063 0.804 P
0.286 0.514 0.784 P
0.458 0.216 0.713 P
0.542 0.784 0.287 P
0.714 0.486 0.216 P
0.857 0.937 0.196 P
0.997 0.370 0.703 P
0.221 0.092 0.405 H
0.278 0.052 0.356 H
0.454 0.147 0.139 H
0.483 0.222 0.162 H
0.517 0.778 0.838 H
0.546 0.853 0.861 H
0.722 0.948 0.644 H
0.779 0.908 0.595 H
0.010 0.689 0.420 O
0.031 0.228 0.807 O
0.057 0.937 0.751 O
0.140 0.533 0.235 O
0.165 0.471 0.686 O
0.190 0.036 0.930 O
0.191 0.548 0.906 O
0.297 0.115 0.700 O
0.382 0.346 0.810 O
0.399 0.633 0.713 O
0.424 0.885 0.225 O
0.491 0.702 0.412 O
0.509 0.298 0.588 O
0.576 0.115 0.775 O
0.601 0.367 0.287 O
0.618 0.654 0.190 O
0.703 0.885 0.300 O
0.809 0.452 0.094 O
0.810 0.964 0.070 O
0.835 0.529 0.314 O
0.860 0.467 0.765 O
0.943 0.063 0.249 O
0.969 0.772 0.193 O
0.990 0.311 0.580 O
```

---

K2PH3O5 | PBE | optimized geometry

As for the formation enthalpy at 0 K: -2.07 eV per atom.

Cell and atoms, written as POSCAR:
```
K2PH3O5
1.0
9.837 0.000 0.000
0.000 10.201 0.000
-3.594 0.000 11.493
K P H O
16 8 24 40
Direct
0.015 0.056 0.366 K
0.015 0.444 0.866 K
0.150 0.611 0.643 K
0.150 0.889 0.143 K
0.251 0.082 0.898 K
0.251 0.418 0.398 K
0.359 0.687 0.989 K
0.359 0.813 0.489 K
0.641 0.187 0.511 K
0.641 0.313 0.011 K
0.749 0.582 0.602 K
0.749 0.918 0.102 K
0.850 0.111 0.857 K
0.850 0.389 0.357 K
0.985 0.556 0.134 K
0.985 0.944 0.634 K
0.014 0.227 0.127 P
0.014 0.273 0.627 P
0.311 0.190 0.635 P
0.311 0.310 0.135 P
0.689 0.690 0.865 P
0.689 0.810 0.365 P
0.986 0.727 0.373 P
0.986 0.773 0.873 P
0.308 0.581 0.206 H
0.308 0.919 0.706 H
0.338 0.087 0.428 H
0.338 0.413 0.928 H
0.345 0.124 0.307 H
0.345 0.376 0.807 H
0.424 0.691 0.264 H
0.424 0.809 0.764 H
0.443 0.031 0.121 H
0.443 0.469 0.621 H
0.490 0.615 0.657 H
0.490 0.885 0.157 H
0.510 0.115 0.843 H
0.510 0.385 0.343 H
0.557 0.531 0.379 H
0.557 0.969 0.879 H
0.576 0.191 0.236 H
0.576 0.309 0.736 H
0.655 0.624 0.193 H
0.655 0.876 0.693 H
0.662 0.587 0.072 H
0.662 0.913 0.572 H
0.692 0.081 0.294 H
0.692 0.419 0.794 H
0.038 0.208 0.746 O
0.038 0.292 0.246 O
0.038 0.585 0.379 O
0.038 0.915 0.879 O
0.076 0.689 0.975 O
0.076 0.811 0.475 O
0.174 0.211 0.104 O
0.174 0.289 0.604 O
0.256 0.048 0.623 O
0.256 0.452 0.123 O
0.326 0.046 0.351 O
0.326 0.454 0.851 O
0.326 0.663 0.256 O
0.326 0.837 0.756 O
0.390 0.227 0.548 O
0.390 0.273 0.048 O
0.399 0.225 0.762 O
0.399 0.275 0.262 O
0.419 0.560 0.597 O
0.419 0.940 0.097 O
0.581 0.060 0.903 O
0.581 0.440 0.403 O
0.601 0.725 0.738 O
0.601 0.775 0.238 O
0.610 0.727 0.952 O
0.610 0.773 0.452 O
0.674 0.163 0.244 O
0.674 0.337 0.744 O
0.674 0.546 0.149 O
0.674 0.954 0.649 O
0.744 0.548 0.877 O
0.744 0.952 0.377 O
0.826 0.711 0.396 O
0.826 0.789 0.896 O
0.924 0.189 0.525 O
0.924 0.311 0.025 O
0.962 0.085 0.121 O
0.962 0.415 0.621 O
0.962 0.708 0.754 O
0.962 0.792 0.254 O
```

---

KPH4O4 | PBE | optimized geometry

As for the formation enthalpy at 0 K: -1.17 eV per atom.

Cell and atoms, written as POSCAR:
```
KPH4O4
1.0
-4.992 4.992 3.501
4.992 -4.992 3.501
4.992 4.992 -3.501
K P H O
2 2 8 8
Direct
0.000 0.000 0.000 K
0.750 0.250 0.500 K
0.250 0.750 0.500 P
0.500 0.500 0.000 P
0.209 0.015 0.487 H
0.222 0.235 0.693 H
0.278 0.791 0.807 H
0.472 0.778 0.013 H
0.528 0.722 0.513 H
0.541 0.528 0.307 H
0.765 0.459 0.987 H
0.985 0.472 0.193 H
0.072 0.461 0.292 O
0.169 0.781 0.708 O
0.211 0.322 0.792 O
0.219 0.928 0.389 O
0.531 0.419 0.208 O
0.539 0.831 0.611 O
0.581 0.789 0.111 O
0.678 0.469 0.889 O
```

---

K2P2H4O7 | PBE | optimized geometry

As for the formation enthalpy at 0 K: -2.04 eV per atom.

Cell and atoms, written as POSCAR:
```
K2P2H4O7
1.0
10.183 0.000 0.000
0.000 7.837 0.000
-9.566 0.000 10.358
K P H O
8 8 16 28
Direct
0.003 0.006 0.227 K
0.003 0.494 0.727 K
0.466 0.723 0.393 K
0.466 0.777 0.893 K
0.534 0.223 0.107 K
0.534 0.277 0.607 K
0.997 0.506 0.273 K
0.997 0.994 0.773 K
0.330 0.746 0.573 P
0.330 0.754 0.073 P
0.375 0.244 0.291 P
0.375 0.256 0.791 P
0.625 0.744 0.209 P
0.625 0.756 0.709 P
0.670 0.246 0.927 P
0.670 0.254 0.427 P
0.089 0.696 0.117 H
0.089 0.804 0.617 H
0.116 0.220 0.479 H
0.116 0.280 0.979 H
0.294 0.510 0.642 H
0.294 0.990 0.142 H
0.301 0.043 0.654 H
0.301 0.457 0.154 H
0.699 0.543 0.846 H
0.699 0.957 0.346 H
0.706 0.010 0.858 H
0.706 0.490 0.358 H
0.884 0.720 0.021 H
0.884 0.780 0.521 H
0.911 0.196 0.383 H
0.911 0.304 0.883 H
0.009 0.218 0.386 O
0.009 0.282 0.886 O
0.252 0.705 0.940 O
0.252 0.795 0.440 O
0.276 0.652 0.135 O
0.276 0.848 0.635 O
0.285 0.548 0.569 O
0.285 0.952 0.069 O
0.312 0.175 0.659 O
0.312 0.325 0.159 O
0.315 0.145 0.844 O
0.315 0.355 0.344 O
0.317 0.058 0.260 O
0.317 0.442 0.760 O
0.683 0.558 0.240 O
0.683 0.942 0.740 O
0.685 0.645 0.656 O
0.685 0.855 0.156 O
0.688 0.675 0.841 O
0.688 0.825 0.341 O
0.715 0.048 0.931 O
0.715 0.452 0.431 O
0.724 0.152 0.365 O
0.724 0.348 0.865 O
0.748 0.205 0.560 O
0.748 0.295 0.060 O
0.991 0.718 0.114 O
0.991 0.782 0.614 O
```

---

KP2H4PtO9 | PBE | optimized geometry

As for the formation enthalpy at 0 K: -1.94 eV per atom.

Cell and atoms, written as POSCAR:
```
KP2H4PtO9
1.0
8.043 0.000 0.000
3.435 7.344 0.000
2.234 1.223 13.788
K P H Pt O
4 8 16 4 36
Direct
0.105 0.194 0.093 K
0.387 0.351 0.368 K
0.613 0.649 0.632 K
0.895 0.806 0.907 K
0.142 0.694 0.637 P
0.192 0.624 0.144 P
0.357 0.885 0.392 P
0.389 0.864 0.910 P
0.611 0.136 0.090 P
0.643 0.115 0.608 P
0.808 0.376 0.856 P
0.858 0.306 0.363 P
0.046 0.118 0.890 H
0.050 0.301 0.687 H
0.052 0.398 0.264 H
0.261 0.171 0.652 H
0.278 0.270 0.863 H
0.289 0.432 0.782 H
0.433 0.392 0.590 H
0.463 0.053 0.228 H
0.537 0.947 0.772 H
0.567 0.608 0.410 H
0.711 0.568 0.218 H
0.722 0.730 0.137 H
0.739 0.829 0.348 H
0.948 0.602 0.736 H
0.950 0.699 0.313 H
0.954 0.882 0.110 H
0.044 0.092 0.549 Pt
0.407 0.467 0.946 Pt
0.593 0.533 0.054 Pt
0.956 0.908 0.451 Pt
0.029 0.282 0.283 O
0.092 0.676 0.537 O
0.092 0.837 0.118 O
0.093 0.567 0.236 O
0.138 0.244 0.629 O
0.181 0.867 0.636 O
0.194 0.520 0.057 O
0.195 0.856 0.359 O
0.248 0.062 0.907 O
0.252 0.402 0.853 O
0.282 0.045 0.459 O
0.292 0.737 0.896 O
0.310 0.525 0.667 O
0.391 0.583 0.165 O
0.445 0.160 0.172 O
0.476 0.804 0.008 O
0.478 0.705 0.455 O
0.487 0.918 0.308 O
0.513 0.082 0.692 O
0.522 0.295 0.545 O
0.524 0.196 0.992 O
0.555 0.840 0.828 O
0.609 0.417 0.835 O
0.690 0.475 0.333 O
0.708 0.263 0.104 O
0.718 0.955 0.541 O
0.748 0.598 0.147 O
0.752 0.938 0.093 O
0.805 0.144 0.641 O
0.806 0.480 0.943 O
0.819 0.133 0.364 O
0.862 0.756 0.371 O
0.907 0.433 0.764 O
0.908 0.163 0.882 O
0.908 0.324 0.463 O
0.971 0.718 0.717 O
```